Entry 1:
Li2NbCo3O8 | PBE with a Hubbard U | relaxed

Properties
Space-group type = R-3m, No. 166
Energy relative to the lowest polymorph listed for this composition = 7.52 kJ/mol of atoms

Cell: 6.052 6.052 6.052 Å, 59.56 59.56 59.56°
Positions (direct):
Li 0.125 0.125 0.125
Li 0.875 0.875 0.875
Nb 0.500 0.500 0.500
Co 0.000 0.500 0.500
Co 0.500 0.000 0.500
Co 0.500 0.500 0.000
O 0.263 0.263 0.720
O 0.263 0.720 0.263
O 0.267 0.267 0.267
O 0.280 0.737 0.737
O 0.720 0.263 0.263
O 0.733 0.733 0.733
O 0.737 0.280 0.737
O 0.737 0.737 0.280


Entry 2:
Li4NbCo3O8 | PBE with a Hubbard U | relaxed

Properties
Space-group type = P-1, No. 2
Energy relative to the lowest polymorph listed for this composition = 0.36 kJ/mol of atoms

Cell: 5.998 6.037 10.394 Å, 73.67 73.30 60.26°
Positions (direct):
Li 0.000 0.000 0.000
Li 0.000 0.500 0.000
Li 0.246 0.251 0.753
Li 0.248 0.747 0.749
Li 0.500 0.000 0.500
Li 0.500 0.500 0.500
Li 0.752 0.253 0.251
Li 0.754 0.749 0.247
Nb 0.000 0.500 0.500
Nb 0.500 0.000 0.000
Co 0.000 0.000 0.500
Co 0.251 0.750 0.250
Co 0.253 0.248 0.251
Co 0.500 0.500 0.000
Co 0.747 0.752 0.749
Co 0.749 0.250 0.750
O 0.119 0.131 0.612
O 0.128 0.601 0.623
O 0.142 0.119 0.120
O 0.172 0.606 0.121
O 0.326 0.902 0.378
O 0.358 0.384 0.380
O 0.374 0.881 0.882
O 0.375 0.357 0.882
O 0.625 0.643 0.118
O 0.626 0.119 0.118
O 0.642 0.616 0.620
O 0.674 0.098 0.622
O 0.828 0.394 0.879
O 0.858 0.881 0.880
O 0.872 0.399 0.377
O 0.881 0.869 0.388


Entry 3:
Li4Nb2Co3Sb3O16 | PBE with a Hubbard U | relaxed

Properties
Space-group type = P1, No. 1

Cell: 6.207 6.218 9.908 Å, 89.29 89.27 60.59°
Positions (direct):
Li 0.000 0.000 0.000
Li 0.001 0.008 0.516
Li 0.359 0.328 0.422
Li 0.696 0.672 0.912
Nb 0.356 0.365 0.993
Nb 0.698 0.677 0.513
Co 0.192 0.663 0.726
Co 0.682 0.177 0.730
Co 0.857 0.835 0.226
Sb 0.196 0.172 0.730
Sb 0.356 0.843 0.232
Sb 0.847 0.350 0.231
O 0.019 0.004 0.814
O 0.061 0.474 0.855
O 0.157 0.666 0.094
O 0.162 0.193 0.111
O 0.363 0.331 0.624
O 0.363 0.842 0.606
O 0.484 0.042 0.867
O 0.506 0.483 0.863
O 0.546 0.956 0.366
O 0.560 0.499 0.369
O 0.681 0.200 0.112
O 0.709 0.657 0.116
O 0.860 0.824 0.604
O 0.873 0.342 0.610
O 0.982 0.510 0.357
O 0.989 0.030 0.332


no.,formation energy (eV per atom),energy with MP2020 corrections (eV per atom)
1,-1.89,-7.234
2,-2.05,-6.967
3,-2.08,-7.110